Computed, not measured: a relaxed structure of LaMg2Cu9 at the PBE level of DFT.

```
LaMg2Cu9
1.0
-0.8646 4.0532 2.9295
-3.8890 -2.4598 -2.1408
-1.0688 -9.6218 12.9971
La Mg Cu
2 4 18
direct
0.3333 0.6667 0.7500
0.6667 0.3333 0.2500
0.3333 0.6667 0.5307
0.6667 0.3333 0.0307
0.6667 0.3333 0.4693
0.3333 0.6667 0.9693
0.0000 0.0000 0.0000
0.0000 0.0000 0.5000
0.0000 0.0000 0.2500
0.0000 0.0000 0.7500
0.3333 0.6667 0.2500
0.6667 0.3333 0.7500
0.1680 0.3360 0.1219
0.8320 0.1680 0.6219
0.3360 0.1680 0.6219
0.6640 0.8320 0.1219
0.1680 0.8320 0.1219
0.8320 0.6640 0.8781
0.8320 0.1680 0.8781
0.8320 0.6640 0.6219
0.3360 0.1680 0.8781
0.6640 0.8320 0.3781
0.1680 0.3360 0.3781
0.1680 0.8320 0.3781
```

Output
Symmetry: No. 194
Raw total energy, eV for the cell shown: -94.06

***

Computed, not measured: a relaxed structure of La2MgCu2 at the PBE level of DFT.

```
La2MgCu2
1.0
-1.2842 -3.5420 6.9859
7.8299 -0.3948 1.2392
-0.1013 3.4953 1.7536
La Mg Cu
4 2 4
direct
0.3268 0.8268 0.5000
0.8268 0.6732 0.5000
0.1732 0.3268 0.5000
0.6732 0.1732 0.5000
0.5000 0.5000 0.0000
0.0000 0.0000 0.0000
0.1196 0.6196 0.0000
0.6196 0.8804 0.0000
0.8804 0.3804 0.0000
0.3804 0.1196 0.0000
```

Output
Symmetry: No. 127
Raw total energy, eV for the cell shown: -41.31

***

Computed, not measured: a relaxed structure of LaMgCu2 at the PBE level of DFT.

```
LaMgCu2
1.0
2.3136 -4.0072 0.0000
2.3136 4.0072 0.0000
0.0000 0.0000 8.9766
La Mg Cu
2 2 4
direct
0.6667 0.3333 0.7500
0.3333 0.6667 0.2500
0.0000 0.0000 0.5000
0.0000 0.0000 0.0000
0.3333 0.6667 0.5753
0.6667 0.3333 0.0753
0.6667 0.3333 0.4247
0.3333 0.6667 0.9247
```

Output
Symmetry: No. 194
Raw total energy, eV for the cell shown: -30.95

***

Computed, not measured: a relaxed structure of LaMgCuO3 at the PBE level of DFT.

```
LaMgCuO3
1.0
5.6374 0.1763 0.1763
0.3699 4.3231 -0.0243
0.3699 -0.0243 4.3231
La Mg Cu O
1 1 1 3
direct
0.1899 0.4021 0.4021
0.8062 0.9240 0.9240
0.2624 0.8702 0.8702
0.4801 0.0633 0.0633
0.0140 0.5273 0.9632
0.0140 0.9632 0.5273
```

Output
Total moment, μB/f.u.: 0.0
Symmetry: No. 8
Raw total energy, eV for the cell shown: -37.67
Energy above the lowest structure with this stoichiometry, eV per atom: 0.000

***

Computed, not measured: a relaxed structure of LaMgCuO3 at the PBE level of DFT.

```
LaMgCuO3
1.0
-6.4527 0.3158 -0.3524
-0.2709 -1.7421 3.3988
0.0710 3.4045 1.7507
La Mg Cu O
1 1 1 3
direct
0.5000 0.5000 0.5000
0.0000 0.5000 0.5000
0.0000 0.0000 0.0000
0.5000 0.0000 0.0000
0.0000 0.5000 0.0000
0.0000 0.0000 0.5000
```

Output
Total moment, μB/f.u.: 0.0
Symmetry: No. 123
Raw total energy, eV for the cell shown: -34.51
Energy above the lowest structure with this stoichiometry, eV per atom: 0.528

***

Computed, not measured: a relaxed structure of La3MgCu4P4O2 at the PBE level of DFT.

```
La3MgCu4P4O2
1.0
-2.8985 -0.5789 2.8933
-2.1638 -3.4069 -2.8494
9.5107 -6.8139 5.2079
La Mg Cu P O
3 1 4 4 2
direct
0.0000 0.0000 0.0000
0.2914 0.2914 0.5827
0.7086 0.7086 0.4173
0.0000 0.5000 0.0000
0.8930 0.3930 0.7860
0.4046 0.9046 0.8092
0.1070 0.6070 0.2140
0.5954 0.0954 0.1908
0.8670 0.8670 0.7340
0.1330 0.1330 0.2660
0.4387 0.4387 0.8774
0.5613 0.5613 0.1226
0.7489 0.2489 0.4979
0.2511 0.7511 0.5021
```

Output
Total moment, μB/f.u.: 0.0
Symmetry: No. 71
Raw total energy, eV for the cell shown: -75.83

***

Computed, not measured: a relaxed structure of La4MnCu6S10 at the PBE level of DFT.

```
La4MnCu6S10
1.0
-6.6121 0.0000 0.0000
-0.0156 -7.3059 0.0000
2.3817 1.0024 8.4272
La Mn Cu S
4 1 6 10
direct
0.7225 0.9260 0.8260
0.0602 0.4103 0.7531
0.9398 0.5897 0.2469
0.2775 0.0740 0.1740
0.5000 0.5000 0.5000
0.5605 0.3393 0.9468
0.7803 0.2015 0.3423
0.2197 0.7985 0.6577
0.4395 0.6607 0.0532
0.6647 0.9006 0.4261
0.3353 0.0994 0.5739
0.1310 0.2986 0.4262
0.5293 0.4139 0.2181
0.8690 0.7014 0.5738
0.9129 0.2696 0.0008
0.3194 0.0927 0.8332
0.6841 0.1921 0.5816
0.3159 0.8079 0.4184
0.0871 0.7304 0.9992
0.4707 0.5861 0.7819
0.6806 0.9073 0.1668
```

Output
Symmetry: No. 2
Raw total energy, eV for the cell shown: -119.93

***

Computed, not measured: a relaxed structure of LaNdCuO4 at the PBE level of DFT.

```
LaNdCuO4
1.0
-1.9953 1.9953 6.2540
1.9953 -1.9953 6.2540
1.9953 1.9953 -6.2540
La Nd Cu O
1 1 1 4
direct
0.3498 0.3498 0.0000
0.6495 0.6495 0.0000
0.0016 0.0016 0.0000
0.7477 0.2477 0.5000
0.2477 0.7477 0.5000
0.0019 0.5019 0.5000
0.5019 0.0019 0.5000
```

Output
Total moment, μB/f.u.: 0.0
Symmetry: No. 107
Raw total energy, eV for the cell shown: -51.89
Energy above the lowest structure with this stoichiometry, eV per atom: 0.000